No. 1
Below is a geometry-optimized BaCaCeFeO6 structure, with properties calculated at the PBE+U level.

Cell: 5.895 5.895 5.895 Å, 60.00 60.00 60.00°
Sites, in units of the cell vectors:
Ba1 0.000 0.000 0.000
Ca1 0.500 0.500 0.500
Ce1 0.750 0.750 0.750
Fe1 0.250 0.250 0.250
O1 0.013 0.013 0.487
O2 0.013 0.487 0.013
O3 0.013 0.487 0.487
O4 0.487 0.013 0.013
O5 0.487 0.013 0.487
O6 0.487 0.487 0.013

No. 2
Below is a geometry-optimized BaCaCoF7 structure, with properties calculated at the PBE+U level.

Cell: 5.819 10.438 9.944 Å, 90.00 92.94 90.00°
Sites, in units of the cell vectors:
Ba1 0.230 0.174 0.495
Ba2 0.230 0.326 0.995
Ba3 0.770 0.674 0.005
Ba4 0.770 0.826 0.505
Ca1 0.205 0.591 0.321
Ca2 0.205 0.909 0.821
Ca3 0.795 0.091 0.179
Ca4 0.795 0.409 0.679
Co1 0.310 0.620 0.692
Co2 0.310 0.880 0.192
Co3 0.690 0.120 0.808
Co4 0.690 0.380 0.308
F1 0.031 0.706 0.758
F2 0.031 0.794 0.258
F3 0.113 0.540 0.115
F4 0.113 0.960 0.615
F5 0.158 0.038 0.131
F6 0.158 0.462 0.631
F7 0.222 0.701 0.524
F8 0.222 0.799 0.024
F9 0.401 0.542 0.854
F10 0.401 0.958 0.354
F11 0.403 0.080 0.892
F12 0.403 0.420 0.392
F13 0.488 0.726 0.256
F14 0.488 0.774 0.756
F15 0.512 0.226 0.244
F16 0.512 0.274 0.744
F17 0.597 0.580 0.608
F18 0.597 0.920 0.108
F19 0.599 0.042 0.646
F20 0.599 0.458 0.146
F21 0.778 0.201 0.976
F22 0.778 0.299 0.476
F23 0.842 0.538 0.369
F24 0.842 0.962 0.869
F25 0.887 0.040 0.385
F26 0.887 0.460 0.885
F27 0.969 0.206 0.742
F28 0.969 0.294 0.242

No. 3
Below is a geometry-optimized Ba2CaFe2CoF14 structure, with properties calculated at the PBE+U level.

Cell: 7.473 7.473 15.075 Å, 91.19 91.19 42.63°
Sites, in units of the cell vectors:
Ba1 0.145 0.239 0.120
Ba2 0.239 0.145 0.620
Ba3 0.761 0.855 0.380
Ba4 0.855 0.761 0.880
Ca1 0.442 0.558 0.250
Ca2 0.558 0.442 0.750
Fe1 0.111 0.124 0.377
Fe2 0.124 0.111 0.877
Fe3 0.876 0.889 0.123
Fe4 0.889 0.876 0.623
Co1 0.500 0.500 0.000
Co2 0.500 0.500 0.500
F1 0.047 0.629 0.222
F2 0.077 0.901 0.342
F3 0.099 0.923 0.158
F4 0.105 0.731 0.516
F5 0.161 0.589 0.703
F6 0.171 0.579 0.048
F7 0.194 0.307 0.414
F8 0.269 0.895 0.984
F9 0.307 0.194 0.914
F10 0.362 0.526 0.881
F11 0.371 0.953 0.278
F12 0.411 0.839 0.797
F13 0.421 0.829 0.452
F14 0.474 0.638 0.619
F15 0.526 0.362 0.381
F16 0.579 0.171 0.548
F17 0.589 0.161 0.203
F18 0.629 0.047 0.722
F19 0.638 0.474 0.119
F20 0.693 0.806 0.086
F21 0.731 0.105 0.016
F22 0.806 0.693 0.586
F23 0.829 0.421 0.952
F24 0.839 0.411 0.297
F25 0.895 0.269 0.484
F26 0.901 0.077 0.842
F27 0.923 0.099 0.658
F28 0.953 0.371 0.778

No. 4
Below is a geometry-optimized Ba2CaV2CoF14 structure, with properties calculated at the PBE+U level.

Cell: 7.469 7.469 15.265 Å, 91.10 91.10 42.63°
Sites, in units of the cell vectors:
Ba1 0.143 0.238 0.121
Ba2 0.238 0.143 0.621
Ba3 0.762 0.857 0.379
Ba4 0.857 0.762 0.879
Ca1 0.441 0.559 0.250
Ca2 0.559 0.441 0.750
V1 0.112 0.124 0.377
V2 0.124 0.112 0.877
V3 0.876 0.888 0.123
V4 0.888 0.876 0.623
Co1 0.500 0.500 0.000
Co2 0.500 0.500 0.500
F1 0.046 0.628 0.223
F2 0.074 0.904 0.341
F3 0.096 0.926 0.159
F4 0.113 0.724 0.514
F5 0.162 0.586 0.701
F6 0.171 0.584 0.047
F7 0.193 0.306 0.416
F8 0.276 0.887 0.986
F9 0.306 0.193 0.916
F10 0.362 0.523 0.878
F11 0.372 0.954 0.277
F12 0.414 0.838 0.799
F13 0.416 0.829 0.453
F14 0.477 0.638 0.622
F15 0.523 0.362 0.378
F16 0.584 0.171 0.547
F17 0.586 0.162 0.201
F18 0.628 0.046 0.723
F19 0.638 0.477 0.122
F20 0.694 0.807 0.084
F21 0.724 0.113 0.014
F22 0.807 0.694 0.584
F23 0.829 0.416 0.953
F24 0.838 0.414 0.299
F25 0.887 0.276 0.486
F26 0.904 0.074 0.841
F27 0.926 0.096 0.659
F28 0.954 0.372 0.777

No. 5
Below is a geometry-optimized BaCaFe2Co2O7 structure, with properties calculated at the PBE+U level.

Cell: 6.417 6.417 10.395 Å, 90.02 90.02 60.32°
Sites, in units of the cell vectors:
Ba1 0.000 0.000 0.000
Ba2 0.674 0.674 0.507
Ca1 0.002 0.002 0.368
Ca2 0.671 0.671 0.868
Fe1 0.338 0.338 0.434
Fe2 0.338 0.338 0.931
Fe3 0.507 0.999 0.181
Fe4 0.999 0.507 0.181
Co1 0.165 0.677 0.680
Co2 0.167 0.167 0.682
Co3 0.513 0.513 0.186
Co4 0.677 0.165 0.680
O1 0.028 0.492 0.993
O2 0.179 0.179 0.501
O3 0.182 0.649 0.492
O4 0.323 0.849 0.738
O5 0.330 0.330 0.741
O6 0.335 0.829 0.231
O7 0.348 0.348 0.247
O8 0.492 0.028 0.993
O9 0.493 0.493 0.002
O10 0.649 0.182 0.492
O11 0.829 0.335 0.231
O12 0.835 0.835 0.736
O13 0.838 0.838 0.238
O14 0.849 0.323 0.738

No. 6
Below is a geometry-optimized Ba4CaGd3Co8O22 structure, with properties calculated at the PBE+U level.

Cell: 11.031 8.821 8.573 Å, 78.71 51.64 49.65°
Sites, in units of the cell vectors:
Ba1 0.001 0.502 0.498
Ba2 0.248 0.752 0.248
Ba3 0.502 0.001 0.999
Ba4 0.752 0.248 0.752
Ca1 0.009 0.009 0.991
Gd1 0.236 0.236 0.764
Gd2 0.511 0.511 0.489
Gd3 0.737 0.737 0.263
Co1 0.005 0.746 0.754
Co2 0.246 0.505 0.995
Co3 0.248 0.998 0.504
Co4 0.496 0.750 0.752
Co5 0.505 0.246 0.254
Co6 0.746 0.005 0.495
Co7 0.750 0.496 0.002
Co8 0.998 0.248 0.250
O1 0.015 0.242 0.758
O2 0.110 0.402 0.097
O3 0.126 0.126 0.374
O4 0.143 0.843 0.646
O5 0.242 0.015 0.985
O6 0.282 0.467 0.533
O7 0.354 0.632 0.857
O8 0.376 0.376 0.124
O9 0.386 0.869 0.614
O10 0.402 0.110 0.391
O11 0.467 0.282 0.718
O12 0.513 0.738 0.262
O13 0.609 0.903 0.598
O14 0.626 0.626 0.874
O15 0.632 0.354 0.157
O16 0.738 0.513 0.487
O17 0.779 0.969 0.031
O18 0.843 0.143 0.368
O19 0.869 0.386 0.131
O20 0.876 0.876 0.624
O21 0.903 0.609 0.890
O22 0.969 0.779 0.221

no.,energy with MP2020 corrections (eV/atom),calculated formation energy (eV/atom),size of the total moment (μB per formula unit)
1,-7.583,-2.782,4.000
2,-5.770,-3.326,0.000
3,-6.154,-3.320,6.985
4,-6.437,-3.541,7.000
5,-7.312,-1.949,15.699
6,-7.929,-2.202,22.000